A plane-wave DFT calculation with PBE was carried out for Na8NbIn3Si4P2O24 after structural relaxation.

Cell: 9.2491 9.2542 22.5382 Å, 89.95 89.93 119.99°
Closest atoms and distances in Å follow each position.
Positions (direct):
In  0.0004  0.0001  0.3508  6 O 2.13-2.17
In  0.3334  0.6631  0.5143  6 O 2.09-2.29
In  0.0011  0.0039  0.8485  6 O 2.09-2.21
In  0.6658  0.3334  0.6824  6 O 2.08-2.30
In  0.6678  0.3366  0.1816  6 O 2.06-2.25
In  0.3342  0.6662  0.3225  6 O 2.10-2.34
In  0.0025  0.9992  0.1466  6 O 2.16-2.28
In  0.3312  0.6643  0.0159  6 O 2.08-2.28
In  0.9941  0.0026  0.6485  6 O 2.13-2.31
O  0.8523  0.5277  0.7476  1 P 1.55
O  0.2014  0.0304  0.5844  1 P 1.55
O  0.3841  0.4841  0.3567  1 Si 1.64
O  0.6849  0.5270  0.2473  1 P 1.56
O  0.1592  0.4735  0.2519  1 P 1.56
O  0.7684  0.9466  0.6926  1 Si 1.63
O  0.1028  0.6170  0.3570  1 Si 1.64
O  0.5528  0.8497  0.4747  1 Si 1.62
O  0.1933  0.9724  0.1920  1 P 1.56
O  0.2235  0.1856  0.8099  1 Si 1.62
O  0.1347  0.5000  0.8616  1 Si 1.68
O  0.0084  0.1844  0.9127  1 Si 1.62
O  0.8188  0.9952  0.4113  1 Si 1.63
O  0.6337  0.4890  0.9229  1 Si 1.68
O  0.3111  0.4865  0.7597  1 Si 1.69
O  0.8846  0.3632  0.6452  1 Si 1.62
O  0.5255  0.6870  0.2524  1 P 1.56
O  0.5044  0.3479  0.4260  1 Si 1.67
O  0.6474  0.1544  0.4260  1 Si 1.67
O  0.6388  0.1157  0.1406  1 P 1.53
O  0.0410  0.8154  0.6956  1 P 1.54
O  0.3145  0.8380  0.2527  1 P 1.56
O  0.4706  0.1543  0.5292  1 P 1.57
O  0.6731  0.1600  0.7466  1 Si 1.64
O  0.1468  0.5037  0.5800  1 Si 1.63
O  0.8372  0.3168  0.5281  1 Si 1.69
O  0.9743  0.1899  0.3042  1 P 1.54
O  0.7820  0.8097  0.1920  1 P 1.56
O  0.8097  0.7860  0.3044  1 P 1.54
O  0.1466  0.4437  0.9777  1 Si 1.61
O  0.8388  0.3125  0.2465  1 P 1.56
O  0.9719  0.1627  0.5818  1 Si 1.64
O  0.4773  0.1564  0.2460  1 P 1.56
O  0.1790  0.2233  0.6919  1 Si 1.64
O  0.8467  0.4951  0.4256  1 Si 1.68
O  0.8100  0.0312  0.8102  1 Si 1.62
O  0.9757  0.7817  0.8074  1 P 1.54
O  0.0247  0.2162  0.1916  1 P 1.56
O  0.0040  0.8233  0.4111  1 Si 1.63
O  0.1891  0.1624  0.0826  1 Si 1.64
O  0.3538  0.8645  0.5783  1 P 1.54
O  0.4988  0.6358  0.8622  1 Si 1.68
O  0.1492  0.6540  0.0800  1 Si 1.63
O  0.3621  0.8614  0.8618  1 Si 1.67
O  0.6324  0.5198  0.6449  1 Si 1.62
O  0.2930  0.4425  0.4741  1 Si 1.62
O  0.5044  0.6542  0.5798  1 Si 1.63
O  0.6851  0.1581  0.0284  1 P 1.58
O  0.4882  0.3296  0.7474  1 Si 1.64
O  0.5122  0.8674  0.0785  1 P 1.54
O  0.4788  0.3632  0.1446  1 Si 1.62
O  0.5567  0.7060  0.9779  1 Si 1.60
O  0.1666  0.6889  0.7586  1 P 1.58
O  0.4777  0.3125  0.0270  1 Si 1.70
O  0.3000  0.8536  0.9784  1 Si 1.61
O  0.8345  0.5185  0.0269  1 Si 1.71
O  0.4727  0.1120  0.6413  1 P 1.54
O  0.8456  0.8064  0.5833  1 Si 1.64
O  0.5151  0.8979  0.3569  1 Si 1.64
O  0.8167  0.8203  0.9103  1 Si 1.61
O  0.8882  0.5164  0.1441  1 Si 1.62
O  0.8512  0.3616  0.9230  1 Si 1.67
O  0.1753  0.1793  0.4108  1 Si 1.63
O  0.9620  0.8054  0.0827  1 Si 1.65
O  0.1520  0.7055  0.4746  1 Si 1.61
O  0.1741  0.9870  0.9118  1 Si 1.62
O  0.5108  0.1459  0.9229  1 Si 1.68
O  0.8302  0.0347  0.0837  1 P 1.56
O  0.6807  0.5193  0.5281  1 Si 1.69
O  0.5079  0.8270  0.7601  1 Si 1.69
O  0.2181  0.0267  0.3041  1 P 1.54
O  0.3567  0.5025  0.0802  1 Si 1.63
Na  0.3687  0.3701  0.2522  6 O 2.54-2.64
Na  0.0034  0.0007  0.9974  6 O 2.51-2.64
Na  0.9915  0.3549  0.7438  5 O 2.45-2.70
Na  0.6666  0.9572  0.5810  6 O 2.43-2.71
Na  0.2960  0.3399  0.5830  6 O 2.51-2.68
Na  0.7082  0.0294  0.9126  5 O 2.41-2.68
Na  0.6623  0.3268  0.8273  5 O 2.42-2.69
Na  0.3163  0.2894  0.9126  4 O 2.43-2.58
Na  0.0021  0.6312  0.2520  6 O 2.52-2.65
Na  0.9970  0.0001  0.4989  6 O 2.48-2.62
Na  0.3346  0.6613  0.6594  3 O 2.41-2.56
Na  0.3691  0.0118  0.7482  5 O 2.44-2.63
Na  0.0446  0.3428  0.0822  6 O 2.50-2.69
Na  0.9769  0.6813  0.9147  4 O 2.40-2.59
Na  0.6604  0.6995  0.0824  6 O 2.45-2.70
Na  0.6649  0.3318  0.3346  6 O 2.58-2.62
Na  0.9784  0.2993  0.4175  4 O 2.44-2.67
Na  0.0378  0.6998  0.5809  5 O 2.43-2.65
Na  0.6397  0.6341  0.7414  5 O 2.41-2.67
Na  0.6309  0.9974  0.2547  6 O 2.51-2.78
Na  0.3284  0.6613  0.1650  6 O 2.50-2.66
Na  0.2918  0.9570  0.0801  6 O 2.43-2.71
Na  0.3258  0.0251  0.4177  4 O 2.45-2.61
Na  0.6981  0.6776  0.4174  5 O 2.45-2.74
P  0.7019  0.7037  0.2491  4 O 1.54-1.56
P  0.2993  0.9983  0.2489  4 O 1.54-1.56
P  0.0058  0.7056  0.7513  4 O 1.54-1.58
P  0.3736  0.0397  0.5835  4 O 1.54-1.57
P  0.9997  0.2972  0.2485  4 O 1.54-1.56
P  0.6664  0.0436  0.0834  4 O 1.53-1.58
Nb  0.6725  0.3384  0.4811  6 O 1.95-2.09
Nb  0.6644  0.3373  0.9792  6 O 1.95-2.08
Nb  0.3360  0.6650  0.8161  6 O 1.96-2.13
Si  0.2979  0.2987  0.7504  4 O 1.62-1.69
Si  0.6986  0.9975  0.7509  4 O 1.62-1.69
Si  0.9639  0.3356  0.5849  4 O 1.62-1.69
Si  0.6670  0.6300  0.5851  4 O 1.62-1.69
Si  0.3356  0.3669  0.4164  4 O 1.62-1.67
Si  0.6287  0.6674  0.9189  4 O 1.60-1.68
Si  0.3342  0.9613  0.9187  4 O 1.61-1.68
Si  0.6306  0.9673  0.4168  4 O 1.62-1.67
Si  0.0364  0.3712  0.9186  4 O 1.61-1.68
Si  0.0357  0.6661  0.4166  4 O 1.61-1.68
Si  0.3716  0.3348  0.0848  4 O 1.62-1.70
Si  0.9621  0.6277  0.0845  4 O 1.62-1.71

total energy: -6.535 eV per atom
total magnetization: 0.0 μB per formula unit

A plane-wave DFT calculation with PBE was carried out for Na3Nb3InSi3P3O24 after structural relaxation.

Cell: 8.9292 8.9431 22.8466 Å, 89.95 89.98 119.85°
Closest atoms and distances in Å follow each position.
Positions (direct):
P  0.9607  0.6256  0.0819  4 O 1.52-1.58
P  0.9999  0.2901  0.2490  4 O 1.52-1.59
P  0.0023  0.7154  0.7506  4 O 1.52-1.57
P  0.2893  0.9961  0.2488  4 O 1.52-1.58
P  0.7133  0.9990  0.7502  4 O 1.52-1.57
P  0.6649  0.0412  0.0839  4 O 1.52-1.58
P  0.2850  0.2864  0.7504  4 O 1.52-1.57
P  0.3778  0.0427  0.5846  4 O 1.52-1.58
P  0.9574  0.3345  0.5848  4 O 1.52-1.58
O  0.1704  0.4678  0.2530  1 P 1.56
O  0.8423  0.5343  0.0290  1 P 1.55
O  0.8108  0.8351  0.1957  1 Si 1.69
O  0.8430  0.5373  0.7497  1 P 1.52
O  0.1391  0.6381  0.3597  1 Si 1.67
O  0.2175  0.0386  0.3027  1 P 1.52
O  0.3432  0.8578  0.5742  1 P 1.54
O  0.6923  0.1618  0.0313  1 P 1.55
O  0.3628  0.8595  0.8583  1 Si 1.64
O  0.8552  0.3597  0.9263  1 Si 1.62
O  0.1958  0.0299  0.5912  1 P 1.58
O  0.1462  0.6583  0.0722  1 P 1.55
O  0.2978  0.8262  0.2528  1 P 1.56
O  0.8995  0.5239  0.1384  1 P 1.52
O  0.1683  0.4715  0.9724  1 Si 1.63
O  0.1402  0.4888  0.5752  1 P 1.54
O  0.1605  0.6795  0.4750  1 Si 1.61
O  0.8232  0.0119  0.8047  1 P 1.55
O  0.4769  0.3101  0.0291  1 Si 1.66
O  0.6955  0.5328  0.5262  1 Si 1.66
O  0.0123  0.8241  0.4174  1 Si 1.59
O  0.8389  0.3037  0.5307  1 P 1.56
O  0.6411  0.4967  0.9252  1 Si 1.64
O  0.0215  0.8273  0.6953  1 P 1.57
O  0.5155  0.6976  0.2532  1 Si 1.69
O  0.5078  0.8591  0.0739  1 P 1.55
O  0.4754  0.1456  0.2415  1 P 1.54
O  0.5158  0.8347  0.4724  1 Si 1.63
O  0.3189  0.4807  0.4735  1 Si 1.63
O  0.3039  0.8341  0.9732  1 Si 1.62
O  0.1723  0.7061  0.7549  1 P 1.56
O  0.5031  0.6579  0.5755  1 Si 1.64
O  0.8118  0.8367  0.9071  1 Si 1.63
O  0.1387  0.5025  0.8581  1 Si 1.65
O  0.9770  0.1694  0.5909  1 P 1.58
O  0.8064  0.9795  0.6951  1 P 1.57
O  0.8406  0.8164  0.5925  1 Si 1.68
O  0.9689  0.1817  0.3038  1 P 1.52
O  0.6964  0.1600  0.7482  1 P 1.52
O  0.4984  0.6366  0.8582  1 Si 1.64
O  0.6254  0.5102  0.6432  1 Si 1.58
O  0.1647  0.1904  0.4159  1 Si 1.58
O  0.6364  0.1080  0.1417  1 P 1.52
O  0.8078  0.7859  0.3126  1 Si 1.60
O  0.5060  0.1426  0.9250  1 Si 1.64
O  0.0298  0.1989  0.1943  1 P 1.59
O  0.3671  0.4994  0.3578  1 Si 1.69
O  0.1786  0.1574  0.0890  1 Si 1.66
O  0.3452  0.5003  0.0734  1 Si 1.64
O  0.2968  0.4666  0.7556  1 P 1.57
O  0.0254  0.1903  0.9071  1 Si 1.64
O  0.4702  0.3691  0.1462  1 Si 1.60
O  0.8391  0.3059  0.2409  1 P 1.52
O  0.5020  0.8681  0.3568  1 Si 1.69
O  0.8011  0.9662  0.4163  1 Si 1.59
O  0.6683  0.5074  0.2482  1 Si 1.61
O  0.5317  0.6979  0.9727  1 Si 1.63
O  0.5154  0.3757  0.4247  1 Si 1.65
O  0.1744  0.1960  0.6954  1 P 1.55
O  0.8554  0.4855  0.4249  1 Si 1.66
O  0.4617  0.3004  0.7508  1 P 1.52
O  0.4676  0.1612  0.5308  1 P 1.56
O  0.1854  0.1770  0.8049  1 P 1.56
O  0.1661  0.9769  0.9068  1 Si 1.64
O  0.8852  0.3660  0.6407  1 P 1.52
O  0.9897  0.8138  0.8047  1 P 1.55
O  0.4834  0.1095  0.6403  1 P 1.52
O  0.9731  0.8067  0.0886  1 P 1.58
O  0.1743  0.9777  0.1940  1 P 1.58
O  0.8309  0.0225  0.0886  1 P 1.58
O  0.5344  0.8303  0.7550  1 P 1.56
O  0.6284  0.1451  0.4250  1 Si 1.62
Si  0.6634  0.6210  0.5853  4 O 1.58-1.68
Si  0.3713  0.3332  0.0848  4 O 1.60-1.66
Si  0.3343  0.9522  0.9160  4 O 1.62-1.64
Si  0.6202  0.9606  0.4176  4 O 1.59-1.69
Si  0.3311  0.3746  0.4176  4 O 1.58-1.69
Si  0.0447  0.3809  0.9158  4 O 1.62-1.65
Si  0.6213  0.6672  0.9154  4 O 1.63-1.64
Si  0.7077  0.7036  0.2528  4 O 1.60-1.69
Si  0.0445  0.6643  0.4188  4 O 1.59-1.67
Nb  0.6597  0.3313  0.9771  6 O 1.95-2.10
Nb  0.9979  0.9974  0.6432  6 O 1.92-2.07
Nb  0.3347  0.6637  0.0182  6 O 1.93-2.09
Nb  0.3330  0.6660  0.8121  6 O 1.93-2.11
Nb  0.9972  0.9964  0.1446  6 O 1.95-2.06
Nb  0.3352  0.6656  0.5204  6 O 1.91-2.09
Nb  0.0014  0.0019  0.8566  6 O 1.96-2.02
Nb  0.6682  0.3350  0.4791  6 O 1.97-2.06
Nb  0.3330  0.6680  0.3149  5 O 1.91-2.13
Na  0.0108  0.0111  0.4930  3 O 2.32-2.45
Na  0.7106  0.6769  0.4136  4 O 2.30-2.49
Na  0.6404  0.0034  0.2482  5 O 2.38-2.66
Na  0.6800  0.3409  0.3314  6 O 2.45-2.73
Na  0.3238  0.6628  0.1633  6 O 2.58-2.66
Na  0.3368  0.6652  0.6648  6 O 2.54-2.68
Na  0.0013  0.0012  0.9995  6 O 2.54-2.65
Na  0.6677  0.3337  0.8291  6 O 2.48-2.72
Na  0.3718  0.3606  0.2459  4 O 2.30-2.52
In  0.0032  0.0007  0.3560  6 O 2.09-2.17
In  0.6723  0.3454  0.1805  6 O 2.07-2.26
In  0.6642  0.3338  0.6873  6 O 2.04-2.24

total energy: -7.505 eV per atom
total magnetization: 0.0 μB per formula unit

A plane-wave DFT calculation with PBE was carried out for Na7NbIn3Si3P3O24 after structural relaxation.

Cell: 9.2075 9.2052 22.5346 Å, 90.02 90.04 120.02°
Closest atoms and distances in Å follow each position.
Positions (direct):
O  0.5527  0.8490  0.4742  1 Si 1.62
O  0.3145  0.8376  0.2524  1 P 1.56
O  0.8376  0.0269  0.0818  1 Si 1.64
O  0.4748  0.1584  0.2473  1 P 1.56
O  0.8573  0.5230  0.7490  1 P 1.55
O  0.8209  0.9981  0.4112  1 Si 1.63
O  0.4673  0.1500  0.5265  1 P 1.57
O  0.8446  0.4935  0.4257  1 Si 1.68
O  0.1870  0.9926  0.9124  1 P 1.54
O  0.1950  0.1562  0.0817  1 Si 1.65
O  0.3180  0.4939  0.7619  1 Si 1.74
O  0.5055  0.3482  0.4258  1 Si 1.66
O  0.1450  0.4472  0.9786  1 Si 1.62
O  0.7603  0.9483  0.6937  1 P 1.56
O  0.1924  0.9733  0.1914  1 P 1.56
O  0.9700  0.7898  0.8029  1 P 1.52
O  0.2128  0.0209  0.3039  1 P 1.54
O  0.8164  0.0281  0.8034  1 P 1.53
O  0.5063  0.6428  0.8646  1 P 1.59
O  0.1339  0.6482  0.0758  1 P 1.54
O  0.0003  0.8226  0.4112  1 Si 1.63
O  0.6863  0.1678  0.0281  1 Si 1.70
O  0.9739  0.1934  0.3039  1 P 1.54
O  0.0347  0.8042  0.6922  1 P 1.54
O  0.2920  0.4417  0.4741  1 Si 1.62
O  0.6260  0.4913  0.9195  1 P 1.58
O  0.5208  0.8362  0.7632  1 P 1.58
O  0.3558  0.8637  0.8666  1 P 1.56
O  0.8074  0.8116  0.9084  1 P 1.52
O  0.3863  0.4847  0.3568  1 Si 1.64
O  0.1520  0.7057  0.4743  1 Si 1.62
O  0.0177  0.1860  0.9125  1 Si 1.62
O  0.8082  0.7846  0.3038  1 P 1.54
O  0.1625  0.4787  0.2528  1 P 1.56
O  0.5609  0.6928  0.9756  1 P 1.54
O  0.6824  0.1543  0.7460  1 P 1.54
O  0.6863  0.5245  0.2462  1 P 1.56
O  0.0263  0.2219  0.1914  1 P 1.56
O  0.3476  0.4974  0.0785  1 Si 1.63
O  0.1014  0.6156  0.3573  1 Si 1.64
O  0.6319  0.5217  0.6462  1 Si 1.62
O  0.1797  0.2285  0.6939  1 Si 1.64
O  0.6798  0.5215  0.5288  1 Si 1.69
O  0.6326  0.1089  0.1455  1 Si 1.62
O  0.3153  0.8702  0.9777  1 P 1.53
O  0.4822  0.3183  0.0256  1 Si 1.69
O  0.5247  0.6844  0.2516  1 P 1.56
O  0.4949  0.3400  0.7500  1 Si 1.63
O  0.1683  0.6902  0.7612  1 P 1.60
O  0.6489  0.1563  0.4258  1 Si 1.66
O  0.9606  0.7936  0.0828  1 P 1.55
O  0.8366  0.5209  0.0301  1 P 1.58
O  0.8810  0.3597  0.6469  1 Si 1.62
O  0.8474  0.8096  0.5846  1 Si 1.65
O  0.4834  0.3743  0.1438  1 Si 1.63
O  0.8430  0.3230  0.2457  1 P 1.56
O  0.5146  0.8993  0.3568  1 Si 1.64
O  0.4825  0.1162  0.6379  1 P 1.52
O  0.7841  0.8071  0.1910  1 P 1.56
O  0.2191  0.1950  0.8129  1 Si 1.61
O  0.9696  0.1600  0.5833  1 Si 1.64
O  0.5013  0.1421  0.9213  1 P 1.59
O  0.1467  0.5035  0.5811  1 Si 1.63
O  0.8900  0.5244  0.1414  1 P 1.55
O  0.2035  0.0351  0.5839  1 P 1.55
O  0.8497  0.3619  0.9229  1 Si 1.67
O  0.1414  0.4985  0.8625  1 Si 1.69
O  0.8376  0.3173  0.5293  1 Si 1.69
O  0.4970  0.8524  0.0774  1 Si 1.63
O  0.3510  0.8626  0.5771  1 P 1.54
O  0.5045  0.6574  0.5802  1 Si 1.63
O  0.1757  0.1766  0.4104  1 Si 1.63
Si  0.6314  0.9687  0.4167  4 O 1.62-1.66
Si  0.9625  0.3347  0.5868  4 O 1.62-1.69
Si  0.0340  0.3687  0.9193  4 O 1.62-1.69
Si  0.3358  0.3657  0.4163  4 O 1.62-1.66
Si  0.0331  0.6653  0.4167  4 O 1.62-1.68
Si  0.6673  0.6321  0.5863  4 O 1.62-1.69
Si  0.6645  0.0358  0.0843  4 O 1.62-1.70
Si  0.3010  0.2984  0.7528  4 O 1.61-1.74
Si  0.3738  0.3351  0.0830  4 O 1.63-1.69
In  0.0018  0.0037  0.1454  6 O 2.17-2.27
In  0.3325  0.6625  0.5142  6 O 2.08-2.26
In  0.0007  0.0010  0.8502  6 O 2.09-2.24
In  0.6598  0.3307  0.6847  6 O 2.09-2.31
In  0.3342  0.6661  0.3228  6 O 2.09-2.32
In  0.6630  0.3304  0.1811  6 O 2.07-2.24
In  0.0015  0.0045  0.6492  6 O 2.14-2.28
In  0.9985  0.9998  0.3501  6 O 2.12-2.17
In  0.3363  0.6669  0.0144  6 O 2.07-2.26
Na  0.6573  0.6998  0.0835  6 O 2.48-2.66
Na  0.3241  0.0234  0.4182  4 O 2.41-2.61
Na  0.0382  0.7002  0.5815  6 O 2.42-2.68
Na  0.3350  0.6724  0.6577  3 O 2.39-2.48
Na  0.6433  0.6332  0.7433  2 O 2.34-2.40
Na  0.9804  0.2997  0.4180  4 O 2.41-2.66
Na  0.2959  0.3429  0.5833  6 O 2.47-2.71
Na  0.9883  0.9979  0.9951  6 O 2.46-2.65
Na  0.3689  0.3707  0.2525  6 O 2.50-2.66
Na  0.6977  0.6788  0.4178  4 O 2.42-2.66
Na  0.6655  0.9576  0.5789  5 O 2.40-2.64
Na  0.3014  0.9632  0.0830  5 O 2.42-2.66
Na  0.3196  0.2953  0.9116  5 O 2.41-2.68
Na  0.6640  0.3310  0.3351  6 O 2.56-2.63
Na  0.0465  0.3348  0.0793  5 O 2.40-2.61
Na  0.6596  0.3209  0.8279  4 O 2.38-2.62
Na  0.3390  0.6661  0.1649  6 O 2.52-2.70
Na  0.9921  0.3511  0.7410  4 O 2.37-2.65
Na  0.0026  0.6338  0.2555  6 O 2.49-2.76
Na  0.6295  0.9987  0.2529  6 O 2.51-2.63
Na  0.9969  0.0004  0.4988  6 O 2.49-2.61
Nb  0.3271  0.6640  0.8162  6 O 1.93-2.07
Nb  0.6689  0.3275  0.9792  5 O 1.91-2.09
Nb  0.6720  0.3384  0.4821  6 O 1.95-2.07
P  0.2973  0.9975  0.2486  4 O 1.54-1.56
P  0.7019  0.7016  0.2479  4 O 1.54-1.56
P  0.3359  0.9623  0.9192  4 O 1.53-1.59
P  0.6981  0.9954  0.7512  4 O 1.53-1.58
P  0.3750  0.0406  0.5826  4 O 1.52-1.57
P  0.6304  0.6648  0.9172  4 O 1.52-1.59
P  0.9570  0.6234  0.0829  4 O 1.54-1.58
P  0.0014  0.3024  0.2484  4 O 1.54-1.56
P  0.0055  0.7065  0.7508  4 O 1.52-1.60

total energy: -6.591 eV per atom
total magnetization: 0.0 μB per formula unit

| no. | theoretical density (g cm⁻³) |
| --- | --- |
| 1 | 3.517 |
| 2 | 3.223 |
| 3 | 3.493 |